[1]
# BaRe2O12, optimized geometry, DFT GGA-PBE
# **Energy of formation from the pure elements**: -1.42 eV/atom
# **Crystal system**: monoclinic
data_BaRe2O12
_symmetry_space_group_name_H-M 'P 1 21/c 1'
_symmetry_Int_Tables_number 14
_cell_length_a 7.4384
_cell_length_b 12.6209
_cell_length_c 13.8931
_cell_angle_alpha 90.00
_cell_angle_beta 121.89
_cell_angle_gamma 90.00
loop_
_symmetry_equiv_pos_as_xyz
'x,y,z'
'-x,-y,-z'
'-x,y+1/2,-z+1/2'
'x,-y+1/2,z+1/2'
loop_
_atom_site_label
_atom_site_type_symbol
_atom_site_fract_x
_atom_site_fract_y
_atom_site_fract_z
_atom_site_occupancy
Ba1 Ba 0.1843 0.2467 0.4281 1
Re1 Re 0.1588 0.6115 0.9122 1
Re2 Re 0.2865 0.5734 0.5411 1
O1 O 0.0040 0.1406 0.7321 1
O2 O 0.0677 0.6820 0.9878 1
O3 O 0.1192 0.5998 0.5917 1
O4 O 0.1528 0.0250 0.4336 1
O5 O 0.1527 0.6019 0.3972 1
O6 O 0.2879 0.6645 0.2150 1
O7 O 0.3534 0.1403 0.2921 1
O8 O 0.3623 0.0635 0.0587 1
O9 O 0.4021 0.2128 0.1770 1
O10 O 0.4182 0.6514 0.9593 1
O11 O 0.4664 0.5321 0.2319 1
O12 O 0.4879 0.1541 0.8894 1


[2]
# BaRe3S4O7, optimized geometry, DFT GGA-PBE
# **Energy of formation from the pure elements**: -0.83 eV/atom
# **Crystal system**: triclinic
data_BaRe3S4O7
_symmetry_space_group_name_H-M 'P -1'
_symmetry_Int_Tables_number 2
_cell_length_a 8.6709
_cell_length_b 8.7516
_cell_length_c 9.1107
_cell_angle_alpha 68.68
_cell_angle_beta 82.37
_cell_angle_gamma 79.79
loop_
_symmetry_equiv_pos_as_xyz
'x,y,z'
'-x,-y,-z'
loop_
_atom_site_label
_atom_site_type_symbol
_atom_site_fract_x
_atom_site_fract_y
_atom_site_fract_z
_atom_site_occupancy
Ba1 Ba 0.0905 0.1473 0.2097 1
Re1 Re 0.2728 0.3696 0.4818 1
Re2 Re 0.3177 0.7390 0.5273 1
Re3 Re 0.4812 0.3621 0.7920 1
S1 S 0.2318 0.4817 0.6894 1
S2 S 0.2541 0.6558 0.3237 1
S3 S 0.4615 0.1796 0.6545 1
S4 S 0.4833 0.3531 0.2902 1
O1 O 0.0721 0.4625 0.0212 1
O2 O 0.1178 0.2812 0.4578 1
O3 O 0.1288 0.8319 0.9767 1
O4 O 0.1594 0.9918 0.9023 1
O5 O 0.1790 0.9050 0.5440 1
O6 O 0.2478 0.0437 0.9839 1
O7 O 0.4592 0.2739 0.9926 1


[3]
# Ba2SmReO6, optimized geometry, DFT GGA-PBE
# **Energy of formation from the pure elements**: -2.98 eV/atom
# **Crystal system**: cubic
data_Ba2SmReO6
_symmetry_space_group_name_H-M 'F m -3 m'
_symmetry_Int_Tables_number 225
_symmetry_space_group_name_Hall '-F 4 2 3'
_cell_length_a 8.5715
_cell_length_b 8.5715
_cell_length_c 8.5715
_cell_angle_alpha 90.00
_cell_angle_beta 90.00
_cell_angle_gamma 90.00
loop_
_atom_site_label
_atom_site_type_symbol
_atom_site_fract_x
_atom_site_fract_y
_atom_site_fract_z
_atom_site_occupancy
Ba1 Ba 0.2500 0.2500 0.2500 1
Sm1 Sm 0.0000 0.0000 0.0000 1
Re1 Re 0.0000 0.0000 0.5000 1
O1 O 0.0000 0.0000 0.2682 1


[4]
# Ba2TmReO6, optimized geometry, DFT GGA-PBE
# **Energy of formation from the pure elements**: -3.07 eV/atom
# **Crystal system**: cubic
data_Ba2TmReO6
_symmetry_space_group_name_H-M 'F m -3 m'
_symmetry_Int_Tables_number 225
_symmetry_space_group_name_Hall '-F 4 2 3'
_cell_length_a 8.4117
_cell_length_b 8.4117
_cell_length_c 8.4117
_cell_angle_alpha 90.00
_cell_angle_beta 90.00
_cell_angle_gamma 90.00
loop_
_atom_site_label
_atom_site_type_symbol
_atom_site_fract_x
_atom_site_fract_y
_atom_site_fract_z
_atom_site_occupancy
Ba1 Ba 0.2500 0.2500 0.2500 1
Tm1 Tm 0.0000 0.0000 0.0000 1
Re1 Re 0.0000 0.0000 0.5000 1
O1 O 0.0000 0.0000 0.2630 1


[5]
# Ba3Rh14O28, optimized geometry, DFT GGA-PBE
# **Energy of formation from the pure elements**: -1.50 eV/atom
# **Crystal system**: triclinic
data_Ba3Rh14O28
_symmetry_space_group_name_H-M 'P -1'
_symmetry_Int_Tables_number 2
_cell_length_a 10.0998
_cell_length_b 10.7754
_cell_length_c 10.9947
_cell_angle_alpha 73.51
_cell_angle_beta 81.71
_cell_angle_gamma 77.21
loop_
_symmetry_equiv_pos_as_xyz
'x,y,z'
'-x,-y,-z'
loop_
_atom_site_label
_atom_site_type_symbol
_atom_site_fract_x
_atom_site_fract_y
_atom_site_fract_z
_atom_site_occupancy
Ba1 Ba 0.0766 0.3468 0.0750 1
Ba2 Ba 0.2310 0.0360 0.2316 1
Ba3 Ba 0.3990 0.7019 0.3993 1
Rh1 Rh 0.0315 0.1240 0.5259 1
Rh2 Rh 0.0470 0.0630 0.8605 1
Rh3 Rh 0.0953 0.6510 0.2828 1
Rh4 Rh 0.1092 0.5901 0.6181 1
Rh5 Rh 0.1736 0.8385 0.6706 1
Rh6 Rh 0.1900 0.7769 0.0030 1
Rh7 Rh 0.2373 0.3653 0.4265 1
Rh8 Rh 0.2515 0.3058 0.7608 1
Rh9 Rh 0.3169 0.5526 0.8143 1
Rh10 Rh 0.3331 0.4905 0.1451 1
Rh11 Rh 0.3803 0.0793 0.5691 1
Rh12 Rh 0.3953 0.0204 0.9028 1
Rh13 Rh 0.4604 0.2658 0.9558 1
Rh14 Rh 0.4763 0.2054 0.2869 1
O1 O 0.0032 0.7665 0.6610 1
O2 O 0.0068 0.1157 0.0333 1
O3 O 0.0461 0.0023 0.7048 1
O4 O 0.0559 0.4749 0.3807 1
O5 O 0.0860 0.2397 0.7647 1
O6 O 0.0975 0.7126 0.4385 1
O7 O 0.1363 0.5977 0.1094 1
O8 O 0.1375 0.9480 0.4850 1
O9 O 0.1457 0.4808 0.8054 1
O10 O 0.1485 0.8286 0.1750 1
O11 O 0.1892 0.7158 0.8486 1
O12 O 0.1984 0.1879 0.5222 1
O13 O 0.2288 0.9544 0.9077 1
O14 O 0.2370 0.4273 0.5820 1
O15 O 0.2753 0.6627 0.6333 1
O16 O 0.2793 0.3119 0.2528 1
O17 O 0.2893 0.1941 0.9481 1
O18 O 0.2887 0.5407 0.3158 1
O19 O 0.3333 0.4288 0.9912 1
O20 O 0.3414 0.9023 0.6660 1
O21 O 0.3724 0.6684 0.0492 1
O22 O 0.3810 0.1439 0.7235 1
O23 O 0.4181 0.3789 0.7743 1
O24 O 0.4240 0.0275 0.3965 1
O25 O 0.4303 0.2558 0.4575 1
O26 O 0.4347 0.9077 0.0882 1
O27 O 0.4769 0.1418 0.1334 1
O28 O 0.4848 0.6171 0.8081 1


[6]
# Ba9Rh8O24, optimized geometry, DFT GGA-PBE
# **Energy of formation from the pure elements**: -2.11 eV/atom
# **Crystal system**: trigonal
data_Ba9Rh8O24
_symmetry_space_group_name_H-M 'R -3 c'
_symmetry_Int_Tables_number 167
_symmetry_space_group_name_Hall '-R 3 2"c'
_cell_length_a 10.2230
_cell_length_b 10.2230
_cell_length_c 42.6894
_cell_angle_alpha 90.00
_cell_angle_beta 90.00
_cell_angle_gamma 120.00
loop_
_atom_site_label
_atom_site_type_symbol
_atom_site_fract_x
_atom_site_fract_y
_atom_site_fract_z
_atom_site_occupancy
Ba1 Ba 0.0000 0.3519 0.2500 1
Ba2 Ba 0.0031 0.3433 0.6945 1
Rh1 Rh 0.0000 0.0000 0.0000 1
Rh2 Rh 0.0000 0.0000 0.0597 1
Rh3 Rh 0.0000 0.0000 0.1207 1
Rh4 Rh 0.0000 0.0000 0.1843 1
Rh5 Rh 0.0000 0.0000 0.2500 1
O1 O 0.0025 0.1599 0.9703 1
O2 O 0.0078 0.1604 0.4104 1
O3 O 0.0190 0.1597 0.6518 1
O4 O 0.0542 0.1648 0.2834 1


[7]
# BaRuO3, optimized geometry, DFT GGA-PBE
# **Energy of formation from the pure elements**: -2.12 eV/atom
# **Crystal system**: cubic
data_BaRuO3
_symmetry_space_group_name_H-M 'P m -3 m'
_symmetry_Int_Tables_number 221
_symmetry_space_group_name_Hall '-P 4 2 3'
_cell_length_a 4.0637
_cell_length_b 4.0637
_cell_length_c 4.0637
_cell_angle_alpha 90.00
_cell_angle_beta 90.00
_cell_angle_gamma 90.00
loop_
_atom_site_label
_atom_site_type_symbol
_atom_site_fract_x
_atom_site_fract_y
_atom_site_fract_z
_atom_site_occupancy
Ba1 Ba 0.0000 0.0000 0.0000 1
Ru1 Ru 0.5000 0.5000 0.5000 1
O1 O 0.0000 0.5000 0.5000 1


[8]
# Ba2RuO4, optimized geometry, DFT GGA-PBE
# **Energy of formation from the pure elements**: -2.39 eV/atom
# **Crystal system**: tetragonal
data_Ba2RuO4
_symmetry_space_group_name_H-M 'I 4/m m m'
_symmetry_Int_Tables_number 139
_symmetry_space_group_name_Hall '-I 4 2'
_cell_length_a 4.0609
_cell_length_b 4.0609
_cell_length_c 13.5220
_cell_angle_alpha 90.00
_cell_angle_beta 90.00
_cell_angle_gamma 90.00
loop_
_atom_site_label
_atom_site_type_symbol
_atom_site_fract_x
_atom_site_fract_y
_atom_site_fract_z
_atom_site_occupancy
Ba1 Ba 0.0000 0.0000 0.1443 1
Ru1 Ru 0.0000 0.0000 0.5000 1
O1 O 0.0000 0.0000 0.3464 1
O2 O 0.0000 0.5000 0.0000 1


[9]
# Ba5Ru2O10, optimized geometry, DFT GGA-PBE
# **Energy of formation from the pure elements**: -2.44 eV/atom
# **Crystal system**: hexagonal
data_Ba5Ru2O10
_symmetry_space_group_name_H-M 'P 63/m m c'
_symmetry_Int_Tables_number 194
_symmetry_space_group_name_Hall '-P 6c 2c'
_cell_length_a 6.0757
_cell_length_b 6.0757
_cell_length_c 18.0562
_cell_angle_alpha 90.00
_cell_angle_beta 90.00
_cell_angle_gamma 120.00
loop_
_atom_site_label
_atom_site_type_symbol
_atom_site_fract_x
_atom_site_fract_y
_atom_site_fract_z
_atom_site_occupancy
Ba1 Ba 0.0000 0.0000 0.1366 1
Ba2 Ba 0.3333 0.6667 0.0156 1
Ba3 Ba 0.3333 0.6667 0.2500 1
Ru1 Ru 0.3333 0.6667 0.6727 1
O1 O 0.0000 0.0000 0.0000 1
O2 O 0.0239 0.5120 0.6161 1
O3 O 0.1869 0.3738 0.7500 1


[10]
# BaRuO3, optimized geometry, DFT GGA-PBE
# **Energy of formation from the pure elements**: -2.19 eV/atom
# **Crystal system**: trigonal
data_BaRuO3
_symmetry_space_group_name_H-M 'R -3 m'
_symmetry_Int_Tables_number 166
_symmetry_space_group_name_Hall '-R 3 2"'
_cell_length_a 5.8315
_cell_length_b 5.8315
_cell_length_c 21.9244
_cell_angle_alpha 90.00
_cell_angle_beta 90.00
_cell_angle_gamma 120.00
loop_
_atom_site_label
_atom_site_type_symbol
_atom_site_fract_x
_atom_site_fract_y
_atom_site_fract_z
_atom_site_occupancy
Ba1 Ba 0.0000 0.0000 0.0000 1
Ba2 Ba 0.0000 0.0000 0.2194 1
Ru1 Ru 0.0000 0.0000 0.3829 1
Ru2 Ru 0.0000 0.0000 0.5000 1
O1 O 0.0000 0.5000 0.0000 1
O2 O 0.0225 0.5112 0.2252 1


Question: The lowest energy of formation from the pure elements belongs to which entry?
Answer: Ba2TmReO6